# PdPbO2 | Materials Project | PBE | relaxed
data_PdPbO2
_cell_length_a 6.0305
_cell_length_b 6.0305
_cell_length_c 6.0305
_cell_angle_alpha 133.29
_cell_angle_beta 125.43
_cell_angle_gamma 74.61
_space_group_name_H-M_alt 'P 1'
_space_group_IT_number 1
loop_
_space_group_symop_operation_xyz
'x,y,z'
loop_
_atom_site_label
_atom_site_type_symbol
_atom_site_fract_x
_atom_site_fract_y
_atom_site_fract_z
_atom_site_occupancy
O1 O 0.8498 0.3498 0.0000 1
O2 O 0.6502 0.6502 0.5000 1
O3 O 0.1502 0.6502 0.0000 1
O4 O 0.3498 0.3498 0.5000 1
Pd1 Pd 0.5000 0.0000 0.5000 1
Pb1 Pb 0.2500 0.2282 0.9782 1
Pb2 Pb 0.7500 0.7718 0.0218 1
Pd2 Pd 0.0000 0.5000 0.5000 1
# Calculated formation energy (eV per atom): -1.15
# Electronic total energy (Ha/atom): -0.2022



# Ba3NaSrSb3O12 | Materials Project | PBE | relaxed
data_Ba3NaSrSb3O12
_cell_length_a 8.3712
_cell_length_b 8.3712
_cell_length_c 8.3906
_cell_angle_alpha 90.00
_cell_angle_beta 90.00
_cell_angle_gamma 90.34
_space_group_name_H-M_alt 'P 1'
_space_group_IT_number 1
loop_
_space_group_symop_operation_xyz
'x,y,z'
loop_
_atom_site_label
_atom_site_type_symbol
_atom_site_fract_x
_atom_site_fract_y
_atom_site_fract_z
_atom_site_occupancy
Sb1 Sb 0.7500 0.2500 0.2476 1
O1 O 0.7575 0.0005 0.2453 1
O2 O 0.5005 0.2575 0.2453 1
Sb2 Sb 0.7500 0.7500 0.2479 1
O3 O 0.4785 0.2573 0.7536 1
Sb3 Sb 0.2500 0.2500 0.2479 1
O4 O 0.2500 0.7500 0.5235 1
O5 O 0.2425 0.9995 0.7547 1
O6 O 0.0215 0.2427 0.7536 1
O7 O 0.2500 0.7500 0.9806 1
Sr1 Sr 0.5000 0.5000 0.0000 1
O8 O 0.7573 0.9785 0.7536 1
Ba1 Ba 0.5000 0.0000 0.0000 1
O9 O 0.0005 0.7575 0.7547 1
Ba2 Ba 0.5000 0.5000 0.5000 1
O10 O 0.7425 0.4995 0.2453 1
O11 O 0.2500 0.2500 0.0000 1
O12 O 0.7500 0.7500 0.0000 1
O13 O 0.2575 0.5005 0.7547 1
Ba3 Ba 0.5000 0.0000 0.5000 1
Sb4 Sb 0.7500 0.7500 0.7521 1
Sr2 Sr 0.0000 0.0000 0.0000 1
O14 O 0.7500 0.2500 0.0194 1
O15 O 0.9995 0.2425 0.2453 1
O16 O 0.5215 0.7427 0.2464 1
O17 O 0.9785 0.7573 0.2464 1
Na1 Na 0.7500 0.2500 0.7503 1
O18 O 0.2573 0.4785 0.2464 1
Ba4 Ba 0.0000 0.5000 0.5000 1
Sb5 Sb 0.2500 0.7500 0.7524 1
Sb6 Sb 0.2500 0.2500 0.7521 1
O19 O 0.2500 0.2500 0.5000 1
O20 O 0.2427 0.0215 0.2464 1
O21 O 0.7500 0.2500 0.4765 1
Ba5 Ba 0.0000 0.5000 0.0000 1
O22 O 0.7500 0.7500 0.5000 1
O23 O 0.4995 0.7425 0.7547 1
Na2 Na 0.2500 0.7500 0.2497 1
O24 O 0.7427 0.5215 0.7536 1
Ba6 Ba 0.0000 0.0000 0.5000 1
# Calculated formation energy (eV per atom): -2.53
# Electronic total energy (Ha/atom): -0.2259



# CeMg2 | Materials Project | PBE | relaxed
data_CeMg2
_cell_length_a 5.8400
_cell_length_b 5.8400
_cell_length_c 5.5326
_cell_angle_alpha 90.00
_cell_angle_beta 90.00
_cell_angle_gamma 120.00
_space_group_name_H-M_alt 'P 1'
_space_group_IT_number 1
loop_
_space_group_symop_operation_xyz
'x,y,z'
loop_
_atom_site_label
_atom_site_type_symbol
_atom_site_fract_x
_atom_site_fract_y
_atom_site_fract_z
_atom_site_occupancy
Mg1 Mg 0.0000 0.0000 0.5000 1
Ce1 Ce 0.6667 0.3333 0.5000 1
Mg2 Mg 0.6739 0.0000 0.0000 1
Ce2 Ce 0.3333 0.6667 0.5000 1
Mg3 Mg 0.0000 0.6739 0.0000 1
Mg4 Mg 0.3261 0.3261 0.0000 1
# Calculated formation energy (eV per atom): 0.11
# Electronic total energy (Ha/atom): -0.1079



# Cs2KSbF6 | Materials Project | PBE | relaxed
data_Cs2KSbF6
_cell_length_a 6.8186
_cell_length_b 6.8186
_cell_length_c 6.8186
_cell_angle_alpha 60.00
_cell_angle_beta 60.00
_cell_angle_gamma 60.00
_space_group_name_H-M_alt 'P 1'
_space_group_IT_number 1
loop_
_space_group_symop_operation_xyz
'x,y,z'
loop_
_atom_site_label
_atom_site_type_symbol
_atom_site_fract_x
_atom_site_fract_y
_atom_site_fract_z
_atom_site_occupancy
F1 F 0.2297 0.7703 0.7703 1
Cs1 Cs 0.2500 0.2500 0.2500 1
Sb1 Sb 0.0000 0.0000 0.0000 1
F2 F 0.2297 0.2297 0.7703 1
F3 F 0.2297 0.7703 0.2297 1
F4 F 0.7703 0.2297 0.2297 1
K1 K 0.5000 0.5000 0.5000 1
F5 F 0.7703 0.7703 0.2297 1
F6 F 0.7703 0.2297 0.7703 1
Cs2 Cs 0.7500 0.7500 0.7500 1
# Calculated formation energy (eV per atom): -2.90
# Electronic total energy (Ha/atom): -0.1644



# KMg6SbO8 | Materials Project | PBE | relaxed
data_KMg6SbO8
_cell_length_a 8.9743
_cell_length_b 4.5499
_cell_length_c 4.5499
_cell_angle_alpha 90.00
_cell_angle_beta 90.00
_cell_angle_gamma 90.00
_space_group_name_H-M_alt 'P 1'
_space_group_IT_number 1
loop_
_space_group_symop_operation_xyz
'x,y,z'
loop_
_atom_site_label
_atom_site_type_symbol
_atom_site_fract_x
_atom_site_fract_y
_atom_site_fract_z
_atom_site_occupancy
O1 O 0.7214 0.0000 0.0000 1
O2 O 0.0000 0.0000 0.5000 1
Mg1 Mg 0.7319 0.0000 0.5000 1
O3 O 0.7349 0.5000 0.5000 1
Sb1 Sb 0.0000 0.5000 0.5000 1
Mg2 Mg 0.7319 0.5000 0.0000 1
O4 O 0.0000 0.5000 0.0000 1
Mg3 Mg 0.5000 0.0000 0.0000 1
Mg4 Mg 0.5000 0.5000 0.5000 1
O5 O 0.5000 0.5000 0.0000 1
O6 O 0.2786 0.0000 0.0000 1
Mg5 Mg 0.2681 0.5000 0.0000 1
Mg6 Mg 0.2681 0.0000 0.5000 1
K1 K 0.0000 0.0000 0.0000 1
O7 O 0.5000 0.0000 0.5000 1
O8 O 0.2651 0.5000 0.5000 1
# Energy above the lowest structure with this stoichiometry (meV per atom): 0
# Calculated formation energy (eV per atom): -2.42
# Electronic total energy (Ha/atom): -0.2015



# NpSi3 | Materials Project | PBE | relaxed
data_NpSi3
_cell_length_a 4.0035
_cell_length_b 4.0035
_cell_length_c 4.0035
_cell_angle_alpha 90.00
_cell_angle_beta 90.00
_cell_angle_gamma 90.00
_space_group_name_H-M_alt 'P 1'
_space_group_IT_number 1
loop_
_space_group_symop_operation_xyz
'x,y,z'
loop_
_atom_site_label
_atom_site_type_symbol
_atom_site_fract_x
_atom_site_fract_y
_atom_site_fract_z
_atom_site_occupancy
Si1 Si 0.5000 0.5000 0.0000 1
Np1 Np 0.0000 0.0000 0.0000 1
Si2 Si 0.0000 0.5000 0.5000 1
Si3 Si 0.5000 0.0000 0.5000 1
# Calculated formation energy (eV per atom): -0.19
# Electronic total energy (Ha/atom): -0.2773